Compound: Na2CaSiO4
Source: the Materials Project database
Functional: PBE-GGA
Structure: optimized geometry

Values from the calculation:
Its total magnetization is 0.00 μB per cell. For the total energy, the calculation gives -6.19 eV/atom. The maximum piezoelectric response is 0.6 C/m².

abc: 7.5412 7.5412 7.5412
angles: 90.00 90.00 90.00
Element x y z (fractional)
Na (0.9926, 0.0074, 0.5074)
Na (0.2251, 0.7749, 0.2749)
Na (0.7251, 0.7251, 0.7251)
Na (0.0074, 0.5074, 0.9926)
Na (0.4926, 0.4926, 0.4926)
Na (0.7749, 0.2749, 0.2251)
Na (0.5074, 0.9926, 0.0074)
Na (0.2749, 0.2251, 0.7749)
Ca (0.0378, 0.4622, 0.5378)
Ca (0.9622, 0.9622, 0.9622)
Ca (0.4622, 0.5378, 0.0378)
Ca (0.5378, 0.0378, 0.4622)
Si (0.2579, 0.2579, 0.2579)
Si (0.7421, 0.7579, 0.2421)
Si (0.2421, 0.7421, 0.7579)
Si (0.7579, 0.2421, 0.7421)
O (0.8665, 0.6335, 0.3665)
O (0.4709, 0.2350, 0.2095)
O (0.7650, 0.7095, 0.0291)
O (0.2350, 0.2095, 0.4709)
O (0.1335, 0.1335, 0.1335)
O (0.9709, 0.2650, 0.7905)
O (0.0291, 0.7650, 0.7095)
O (0.5291, 0.7350, 0.2905)
O (0.6335, 0.3665, 0.8665)
O (0.7905, 0.9709, 0.2650)
O (0.2905, 0.5291, 0.7350)
O (0.7095, 0.0291, 0.7650)
O (0.3665, 0.8665, 0.6335)
O (0.2650, 0.7905, 0.9709)
O (0.2095, 0.4709, 0.2350)
O (0.7350, 0.2905, 0.5291)